A relaxed Na8Ca3SnP6O24 crystal, computed with PBE-GGA.

```
data_Na8Ca3SnP6O24
_chemical_formula_sum 'Na24 Ca9 Sn3 P18 O72'
_cell_length_a 9.3813
_cell_length_b 9.3813
_cell_length_c 22.9745
_cell_angle_alpha 90.00
_cell_angle_beta 90.00
_cell_angle_gamma 120.00
_symmetry_space_group_name_H-M 'P 3'
_symmetry_Int_Tables_number 143
loop_
_symmetry_equiv_pos_as_xyz
'x,y,z'
'-y,x-y,z'
'-x+y,-x,z'
loop_
_atom_site_label
_atom_site_fract_x
_atom_site_fract_y
_atom_site_fract_z
Na1 0.0000 0.0000 0.0737
Na2 0.0000 0.0000 0.5754
Na3 0.0003 0.3710 0.8390
Na4 0.0301 0.3424 0.1561
Na5 0.0383 0.6956 0.6629
Na6 0.3249 0.0212 0.4900
Na7 0.3333 0.6667 0.2429
Na8 0.3333 0.6667 0.7540
Na9 0.3338 0.3023 0.0000
Na10 0.3729 0.3704 0.3261
Na11 0.6667 0.3333 0.4056
Na12 0.6667 0.3333 0.9238
Ca1 0.0000 0.0000 0.4293
Ca2 0.0000 0.0000 0.9301
Ca3 0.3333 0.6667 0.0934
Ca4 0.3333 0.6667 0.3989
Ca5 0.3333 0.6667 0.5936
Ca6 0.3333 0.6667 0.9003
Ca7 0.6667 0.3333 0.0699
Ca8 0.6667 0.3333 0.2584
Ca9 0.6667 0.3333 0.7637
Sn1 0.0000 0.0000 0.2333
Sn2 0.0000 0.0000 0.7313
Sn3 0.6667 0.3333 0.5684
P1 0.0009 0.2971 0.3301
P2 0.0033 0.7067 0.8264
P3 0.0163 0.6552 0.5018
P4 0.0242 0.3603 0.9966
P5 0.3485 0.3233 0.1682
P6 0.3613 0.0379 0.6647
O1 0.0066 0.1862 0.9955
O2 0.0189 0.2028 0.2757
O3 0.0248 0.8149 0.7682
O4 0.0912 0.6235 0.4467
O5 0.1066 0.4600 0.9404
O6 0.1200 0.6792 0.5564
O7 0.1272 0.4468 0.0515
O8 0.1369 0.4715 0.6569
O9 0.1511 0.6777 0.1630
O10 0.1611 0.4682 0.3294
O11 0.1621 0.6943 0.8259
O12 0.1717 0.1608 0.1734
O13 0.1858 0.0279 0.6670
O14 0.1949 0.1842 0.4969
O15 0.2084 0.1918 0.8793
O16 0.2186 0.0181 0.3862
O17 0.4237 0.2909 0.1136
O18 0.4458 0.1517 0.6088
O19 0.4524 0.3475 0.2229
O20 0.4655 0.3142 0.8222
O21 0.4655 0.1166 0.7179
O22 0.4693 0.1541 0.3249
O23 0.4932 0.1498 0.9996
O24 0.5084 0.3482 0.5076
```

electronic total energy: -813.95 eV for the cell shown
energy relative to the elements: -2.76 eV/atom
density: 2.82 g/cm³